Entry 1:
A geometry-optimized SnO2 structure, computed with PBE-GGA.

Unit cell a=11.0595 b=11.1890 c=11.9673 alpha=88.48 beta=89.99 gamma=87.70
With the nearest neighbours (Å) after each atom.
Element x y z (fractional)
Sn (0.0000, 0.0000, 0.0000)  4 O 1.98-2.14
Sn (0.0001, 0.0224, 0.6385)  4 O 2.14-2.26
Sn (0.0596, 0.5943, 0.8218)  1 O 1.97
Sn (0.0816, 0.4869, 0.1719)  5 O 2.00-2.22
Sn (0.0838, 0.0092, 0.2790)  6 O 2.00-2.21
Sn (0.1081, 0.2166, 0.7711)  4 O 1.99-2.11
Sn (0.1648, 0.2831, 0.4271)  4 O 1.93-2.13
Sn (0.1678, 0.7944, 0.5116)  5 O 2.01-2.17
Sn (0.2234, 0.4785, 0.6224)  5 O 2.02-2.19
Sn (0.2332, 0.7318, 0.0165)  5 O 2.02-2.17
Sn (0.2364, 0.9213, 0.8161)  6 O 2.07-2.27
Sn (0.2434, 0.1161, 0.0679)  6 O 2.01-2.18
Sn (0.2601, 0.3857, 0.9456)  5 O 1.99-2.21
Sn (0.3734, 0.7621, 0.3159)  4 O 1.97-2.14
Sn (0.4056, 0.4201, 0.3421)  5 O 1.99-2.18
Sn (0.4138, 0.0754, 0.3324)  4 O 1.94-2.13
Sn (0.4492, 0.6864, 0.6222)  4 O 1.91-2.05
Sn (0.4739, 0.5933, 0.1033)  5 O 2.03-2.16
Sn (0.4857, 0.2712, 0.0761)  7 O 2.09-2.25
Sn (0.4887, 0.1371, 0.8548)  6 O 2.06-2.28
Sn (0.5469, 0.8127, 0.8798)  6 O 2.06-2.16
Sn (0.5797, 0.0520, 0.5840)  2 O 2.06-2.20
Sn (0.6467, 0.8279, 0.2022)  5 O 2.03-2.17
Sn (0.6660, 0.4290, 0.5394)  5 O 1.98-2.14
Sn (0.7120, 0.0147, 0.0056)  6 O 2.03-2.26
Sn (0.7441, 0.4925, 0.2830)  3 O 2.20-2.46
Sn (0.7605, 0.5986, 0.9664)  4 O 1.96-2.19
Sn (0.7639, 0.3022, 0.7850)  4 O 1.97-2.07
Sn (0.7651, 0.1109, 0.3224)  6 O 1.99-2.19
Sn (0.8000, 0.7284, 0.6867)  4 O 1.97-2.06
Sn (0.8176, 0.8625, 0.4618)  6 O 2.03-2.19
Sn (0.8413, 0.2980, 0.0656)  5 O 1.99-2.17
Sn (0.9358, 0.7367, 0.2024)  5 O 2.01-2.14
Sn (0.9754, 0.5733, 0.4843)  6 O 2.05-2.19
O (0.0074, 0.8952, 0.1645)  2 Sn 2.01-2.10
O (0.0651, 0.1139, 0.1248)  3 Sn 2.09-2.17
O (0.0675, 0.0269, 0.8158)  4 Sn 2.17-2.34
O (0.0719, 0.1537, 0.3741)  2 Sn 1.93-2.00
O (0.0720, 0.4108, 0.5286)  3 Sn 2.13-2.19
O (0.0978, 0.6675, 0.1259)  3 Sn 2.10-2.14
O (0.1073, 0.4629, 0.0014)  2 Sn 1.99-2.08
O (0.1236, 0.1626, 0.6143)  2 Sn 1.99-2.14
O (0.1357, 0.7637, 0.8753)  3 Sn 2.02-2.22
O (0.1560, 0.6159, 0.5156)  3 Sn 2.01-2.11
O (0.1576, 0.8877, 0.6537)  3 Sn 2.02-2.26
O (0.1668, 0.2203, 0.9299)  3 Sn 2.01-2.17
O (0.1780, 0.4149, 0.2998)  2 Sn 2.00-2.10
O (0.1856, 0.9498, 0.9979)  3 Sn 2.11-2.27
O (0.1933, 0.8567, 0.3512)  3 Sn 2.05-2.26
O (0.1985, 0.3789, 0.7699)  3 Sn 2.09-2.21
O (0.2697, 0.0412, 0.2292)  3 Sn 2.07-2.18
O (0.2878, 0.2981, 0.5593)  1 O 1.57
O (0.2939, 0.2895, 0.0995)  3 Sn 2.09-2.14
O (0.3086, 0.6097, 0.6989)  2 Sn 2.02
O (0.3256, 0.5622, 0.0003)  3 Sn 2.10-2.24
O (0.3360, 0.0711, 0.7830)  2 Sn 2.07
O (0.3390, 0.2505, 0.3461)  3 Sn 2.06-2.18
O (0.3446, 0.5900, 0.3364)  2 Sn 1.97-1.99
O (0.3533, 0.7427, 0.1427)  3 Sn 2.02-2.16
O (0.3601, 0.7765, 0.4939)  3 Sn 2.05-2.14
O (0.3622, 0.4079, 0.5196)  1 O 1.57
O (0.3636, 0.8197, 0.9099)  3 Sn 2.06-2.17
O (0.4161, 0.0982, 0.0154)  3 Sn 2.01-2.25
O (0.4217, 0.0478, 0.4930)  2 Sn 1.94-2.06
O (0.4332, 0.3246, 0.9113)  3 Sn 2.05-2.28
O (0.4564, 0.4268, 0.1762)  3 Sn 2.05-2.15
O (0.4900, 0.8984, 0.2926)  3 Sn 2.05-2.19
O (0.4973, 0.8187, 0.7136)  2 Sn 1.95-2.06
O (0.5248, 0.1417, 0.2008)  1 O 1.52
O (0.5305, 0.5406, 0.5801)  2 Sn 1.91-1.98
O (0.5613, 0.6706, 0.2355)  2 Sn 2.06-2.08
O (0.5672, 0.6465, 0.9655)  3 Sn 2.03-2.18
O (0.5793, 0.1815, 0.3095)  1 O 1.52
O (0.5873, 0.4270, 0.3820)  3 Sn 2.07-2.24
O (0.5992, 0.8726, 0.0419)  3 Sn 2.03-2.16
O (0.6074, 0.2229, 0.7498)  2 Sn 2.03-2.06
O (0.6072, 0.9849, 0.8541)  3 Sn 2.08-2.19
O (0.6256, 0.1782, 0.9824)  3 Sn 2.04-2.22
O (0.6544, 0.3644, 0.0639)  1 O 1.46
O (0.6630, 0.4897, 0.0918)  1 O 1.46
O (0.6854, 0.9925, 0.4386)  3 Sn 2.03-2.20
O (0.6890, 0.2381, 0.5373)  1 O 1.49
O (0.7053, 0.7171, 0.8258)  3 Sn 1.97-2.19
O (0.7087, 0.7388, 0.5427)  2 Sn 2.00-2.09
O (0.7295, 0.9938, 0.1828)  3 Sn 2.11-2.19
O (0.7441, 0.4468, 0.6880)  2 Sn 1.97-1.99
O (0.7874, 0.2325, 0.4525)  1 O 1.49
O (0.7874, 0.6979, 0.1113)  2 Sn 2.04-2.11
O (0.7886, 0.7791, 0.3104)  3 Sn 2.08-2.12
O (0.8096, 0.5049, 0.4554)  3 Sn 2.05-2.20
O (0.8167, 0.4044, 0.9166)  2 Sn 2.07-2.13
O (0.8182, 0.2447, 0.2236)  2 Sn 1.99
O (0.8512, 0.8966, 0.6385)  3 Sn 2.06-2.21
O (0.8568, 0.9089, 0.9619)  2 Sn 1.98-2.03
O (0.8653, 0.1417, 0.9859)  3 Sn 2.02-2.26
O (0.9109, 0.4425, 0.1349)  2 Sn 2.02
O (0.9147, 0.9932, 0.3651)  3 Sn 2.13-2.16
O (0.9168, 0.6491, 0.9084)  2 Sn 1.96-1.97
O (0.9220, 0.2178, 0.7488)  2 Sn 2.01-2.08
O (0.9434, 0.6175, 0.6586)  2 Sn 2.01-2.18
O (0.9793, 0.5871, 0.3018)  3 Sn 2.07-2.22
O (0.9815, 0.7646, 0.4652)  3 Sn 2.08-2.17

- magnetization (Bohr magnetons per cell) = 0.00
- ΔE_f (meV/atom) = -1363

=====

Entry 2:
A geometry-optimized Ti3H2O4 structure, computed with PBE-GGA.

Unit cell a=3.0428 b=3.0428 c=20.4193 alpha=90.00 beta=90.00 gamma=120.00
With the nearest neighbours (Å) after each atom.
Element x y z (fractional)
Ti (0.0000, 0.0000, 0.1320)  6 O 2.15-2.16
Ti (0.0000, 0.0000, 0.8680)  6 O 2.15-2.16
Ti (0.3333, 0.6667, 0.3681)  6 O 2.15-2.16
Ti (0.3333, 0.6667, 0.7500)  6 O 2.11
Ti (0.6667, 0.3333, 0.2500)  6 O 2.11
Ti (0.6667, 0.3333, 0.6319)  6 O 2.15-2.16
H (0.3333, 0.6667, 0.5218)  1 O 0.99
H (0.3333, 0.6667, 0.9782)  1 O 0.99
H (0.6667, 0.3333, 0.0218)  1 O 0.99
H (0.6667, 0.3333, 0.4782)  1 O 0.99
O (0.0000, 0.0000, 0.3074)  6 Ti 2.11-2.15
O (0.0000, 0.0000, 0.6926)  6 Ti 2.11-2.15
O (0.3333, 0.6667, 0.1926)  6 Ti 2.11-2.15
O (0.3333, 0.6667, 0.5701)  1 H 0.99
O (0.3333, 0.6667, 0.9299)  1 H 0.99
O (0.6667, 0.3333, 0.0701)  1 H 0.99
O (0.6667, 0.3333, 0.4299)  1 H 0.99
O (0.6667, 0.3333, 0.8074)  6 Ti 2.11-2.15

- magnetization (Bohr magnetons per cell) = 0.03
- ΔE_f (meV/atom) = -2125

=====

Entry 3:
A geometry-optimized YIn3 structure, computed with PBE-GGA.

Unit cell a=4.6547 b=4.6547 c=4.6547 alpha=90.00 beta=90.00 gamma=90.00
With the nearest neighbours (Å) after each atom.
Element x y z (fractional)
Y (0.0000, 0.0000, 0.0000)  12 In 3.29
In (0.0000, 0.5000, 0.5000)  8 In 3.29, 4 Y 3.29
In (0.5000, 0.0000, 0.5000)  8 In 3.29, 4 Y 3.29
In (0.5000, 0.5000, 0.0000)  8 In 3.29, 4 Y 3.29

- ΔE_f (meV/atom) = -418